No. 1
Li2CuF5 | GGA-PBE | optimized geometry

```
data_Li2CuF5
_cell_length_a 6.322
_cell_length_b 9.470
_cell_length_c 7.493
_cell_angle_alpha 90.00
_cell_angle_beta 106.55
_cell_angle_gamma 90.00
_space_group_name_H-M_alt 'P 1 21/c 1'
_space_group_IT_number 14
_space_group_name_Hall '-P 2ybc'
loop_
_atom_site_label
_atom_site_type_symbol
_atom_site_fract_x
_atom_site_fract_y
_atom_site_fract_z
Li1 Li 0.105 0.240 0.039
Li2 Li 0.377 0.678 0.974
Cu1 Cu 0.343 0.009 0.778
F1 F 0.135 0.652 0.058
F2 F 0.141 0.115 0.846
F3 F 0.343 0.618 0.458
F4 F 0.368 0.150 0.620
F5 F 0.441 0.083 0.288
```

Computed properties:
Energy of formation from the pure elements   -2360.1 meV/atom

***

No. 2
CaY | GGA-PBE | optimized geometry

```
data_CaY
_cell_length_a 3.953
_cell_length_b 5.866
_cell_length_c 6.176
_cell_angle_alpha 90.00
_cell_angle_beta 90.28
_cell_angle_gamma 90.00
_space_group_name_H-M_alt 'C 1 2/m 1'
_space_group_IT_number 12
_space_group_name_Hall '-C 2y'
loop_
_atom_site_label
_atom_site_type_symbol
_atom_site_fract_x
_atom_site_fract_y
_atom_site_fract_z
Ca1 Ca 0.000 0.000 0.000
Y1 Y 0.000 0.500 0.500
```

Computed properties:
Energy of formation from the pure elements   141.6 meV/atom

***

No. 3
MgCrWS4 | GGA-PBE | optimized geometry

```
data_MgCrWS4
_cell_length_a 6.884
_cell_length_b 7.237
_cell_length_c 7.238
_cell_angle_alpha 61.54
_cell_angle_beta 62.33
_cell_angle_gamma 62.32
_space_group_name_H-M_alt 'P 1'
_space_group_IT_number 1
_space_group_name_Hall 'P 1'
loop_
_atom_site_label
_atom_site_type_symbol
_atom_site_fract_x
_atom_site_fract_y
_atom_site_fract_z
Mg1 Mg 0.000 0.000 0.000
Mg2 Mg 0.248 0.245 0.244
Cr1 Cr 0.640 0.097 0.613
Cr2 Cr 0.640 0.613 0.098
W1 W 0.176 0.611 0.611
W2 W 0.585 0.606 0.606
S1 S 0.399 0.376 0.376
S2 S 0.399 0.848 0.327
S3 S 0.400 0.327 0.848
S4 S 0.418 0.839 0.840
S5 S 0.839 0.370 0.372
S6 S 0.869 0.405 0.836
S7 S 0.869 0.836 0.405
S8 S 0.888 0.842 0.843
```

Computed properties:
Energy of formation from the pure elements   -1016.9 meV/atom

***

No. 4
Al2OsRu | GGA-PBE | optimized geometry

```
data_Al2OsRu
_cell_length_a 2.300
_cell_length_b 9.817
_cell_length_c 13.231
_cell_angle_alpha 90.00
_cell_angle_beta 90.00
_cell_angle_gamma 90.00
_space_group_name_H-M_alt 'I m m m'
_space_group_IT_number 71
_space_group_name_Hall '-I 2 2'
loop_
_atom_site_label
_atom_site_type_symbol
_atom_site_fract_x
_atom_site_fract_y
_atom_site_fract_z
Al1 Al 0.000 0.249 0.000
Os1 Os 0.000 0.000 0.000
Ru1 Ru 0.000 0.500 0.000
```

Computed properties:
Energy of formation from the pure elements   1582.7 meV/atom

***

No. 5
SmSiNi4 | GGA-PBE | optimized geometry

```
data_SmSiNi4
_cell_length_a 5.141
_cell_length_b 8.276
_cell_length_c 3.948
_cell_angle_alpha 90.00
_cell_angle_beta 90.00
_cell_angle_gamma 90.00
_space_group_name_H-M_alt 'C m m m'
_space_group_IT_number 65
_space_group_name_Hall '-C 2 2'
loop_
_atom_site_label
_atom_site_type_symbol
_atom_site_fract_x
_atom_site_fract_y
_atom_site_fract_z
Sm1 Sm 0.000 0.000 0.000
Si1 Si 0.000 0.500 0.500
Ni1 Ni 0.000 0.344 0.000
Ni2 Ni 0.250 0.250 0.500
```

Computed properties:
Energy of formation from the pure elements   -575.4 meV/atom

***

No. 6
CePrMg2 | GGA-PBE | optimized geometry

```
data_CePrMg2
_cell_length_a 7.730
_cell_length_b 7.730
_cell_length_c 7.730
_cell_angle_alpha 90.00
_cell_angle_beta 90.00
_cell_angle_gamma 90.00
_space_group_name_H-M_alt 'F m -3 m'
_space_group_IT_number 225
_space_group_name_Hall '-F 4 2 3'
loop_
_atom_site_label
_atom_site_type_symbol
_atom_site_fract_x
_atom_site_fract_y
_atom_site_fract_z
Ce1 Ce 0.000 0.000 0.000
Pr1 Pr 0.000 0.000 0.500
Mg1 Mg 0.250 0.250 0.250
```

Computed properties:
Energy of formation from the pure elements   -9.2 meV/atom

***

No. 7
CeMgTl | GGA-PBE | optimized geometry

```
data_CeMgTl
_cell_length_a 7.7717
_cell_length_b 7.7717
_cell_length_c 4.7822
_cell_angle_alpha 90.00
_cell_angle_beta 90.00
_cell_angle_gamma 120.00
_space_group_name_H-M_alt 'P -6 2 m'
_space_group_IT_number 189
_space_group_name_Hall 'P -6 -2'
loop_
_atom_site_label
_atom_site_type_symbol
_atom_site_fract_x
_atom_site_fract_y
_atom_site_fract_z
Ce1 Ce 0.0000 0.4243 0.0000
Mg1 Mg 0.0000 0.7569 0.5000
Tl1 Tl 0.0000 0.0000 0.0000
Tl2 Tl 0.3333 0.6667 0.5000
```

Computed properties:
Energy of formation from the pure elements   -212.5 meV/atom

***

No. 8
YMn2 | GGA-PBE | optimized geometry

```
data_YMn2
_cell_length_a 5.146
_cell_length_b 8.883
_cell_length_c 8.315
_cell_angle_alpha 90.00
_cell_angle_beta 90.00
_cell_angle_gamma 90.00
_space_group_name_H-M_alt 'C m c m'
_space_group_IT_number 63
_space_group_name_Hall '-C 2c 2'
loop_
_atom_site_label
_atom_site_type_symbol
_atom_site_fract_x
_atom_site_fract_y
_atom_site_fract_z
Y1 Y 0.000 0.167 0.063
Mn1 Mn 0.000 0.332 0.750
Mn2 Mn 0.000 0.500 0.000
Mn3 Mn 0.249 0.084 0.750
```

Computed properties:
Energy of formation from the pure elements   104.7 meV/atom